VASP calculation (PBE-GGA) on a relaxed Ca2Al3Si3O13 crystal.

Summary:
Energy of formation = -3298 meV per atom
Total magnetization = 0.048 μB/atom
Energy above the lowest structure with this stoichiometry = 0.000 eV/atom
ρ = 3.10 g/cm3
Corrected total energy (MP2020 scheme) = -7.862 eV/atom
Energy = -624.69 eV for the cell shown

a = 5.779 Å, b = 10.700 Å, c = 15.718 Å
α = 90.00°, β = 90.00°, γ = 90.00°
Atoms (fractional coordinates):
O 0.015 0.756 0.141
O 0.250 0.095 0.285
O 0.250 0.934 0.721
O 0.750 0.837 0.001
O 0.515 0.244 0.859
O 0.750 0.298 0.000
O 0.750 0.905 0.715
O 0.481 0.441 0.095
O 0.250 0.316 0.219
O 0.750 0.202 0.500
O 0.019 0.104 0.144
O 0.750 0.066 0.942
O 0.750 0.663 0.501
O 0.515 0.256 0.359
O 0.015 0.744 0.641
O 0.750 0.434 0.779
O 0.250 0.566 0.221
O 0.519 0.896 0.856
O 0.750 0.684 0.781
O 0.485 0.756 0.141
O 0.519 0.604 0.356
O 0.250 0.716 0.793
O 0.750 0.816 0.281
O 0.985 0.256 0.359
O 0.250 0.798 0.500
O 0.750 0.434 0.442
O 0.485 0.744 0.641
O 0.250 0.934 0.058
O 0.250 0.184 0.719
O 0.519 0.941 0.405
O 0.981 0.941 0.405
O 0.481 0.104 0.144
O 0.250 0.337 0.499
O 0.981 0.896 0.856
O 0.750 0.066 0.279
O 0.750 0.595 0.215
O 0.750 0.216 0.707
O 0.019 0.396 0.644
O 0.481 0.396 0.644
O 0.519 0.559 0.905
O 0.250 0.163 0.999
O 0.750 0.284 0.207
O 0.985 0.244 0.859
O 0.250 0.702 0.000
O 0.019 0.059 0.595
O 0.481 0.059 0.595
O 0.981 0.604 0.356
O 0.250 0.405 0.785
O 0.019 0.441 0.095
O 0.250 0.784 0.293
O 0.250 0.566 0.558
O 0.981 0.559 0.905
Al 0.750 0.147 0.605
Al 0.250 0.853 0.395
Al 0.996 0.188 0.247
Al 0.004 0.688 0.253
Al 0.504 0.188 0.247
Al 0.496 0.812 0.753
Al 0.996 0.312 0.747
Al 0.496 0.688 0.253
Al 0.750 0.353 0.105
Al 0.250 0.647 0.895
Al 0.504 0.312 0.747
Al 0.004 0.812 0.753
Si 0.750 0.917 0.915
Si 0.250 0.417 0.585
Si 0.750 0.558 0.842
Si 0.250 0.083 0.085
Si 0.250 0.058 0.658
Si 0.750 0.214 0.915
Si 0.250 0.714 0.585
Si 0.750 0.286 0.415
Si 0.750 0.942 0.342
Si 0.250 0.786 0.085
Si 0.250 0.442 0.158
Si 0.750 0.583 0.415
Ca 0.750 0.937 0.134
Ca 0.750 0.861 0.544
Ca 0.250 0.361 0.956
Ca 0.750 0.563 0.634
Ca 0.250 0.139 0.456
Ca 0.750 0.639 0.044
Ca 0.250 0.063 0.866
Ca 0.250 0.437 0.366